Entry 1:
Ca5MgC6O18 | the Materials Project | meta-GGA r2SCAN | optimized geometry; excess energy over the best structure of this formula in the dataset = 0.0 meV per atom; size of the total moment = 0.00 μB/cell; DFT formation energy = -2379 meV per atom; total DFT energy (no corrections) = -9.264 eV per atom
1.0
4.940 0.000 0.000
-2.470 4.278 0.000
0.000 0.000 16.644
Ca Mg C O
5 1 6 18
Direct
0.000 0.000 0.000
0.333 0.667 0.347
0.333 0.667 0.827
0.667 0.333 0.173
0.667 0.333 0.653
0.000 0.000 0.500
0.000 0.000 0.259
0.000 0.000 0.741
0.333 0.667 0.086
0.333 0.667 0.571
0.667 0.333 0.429
0.667 0.333 0.914
0.010 0.744 0.259
0.072 0.406 0.086
0.097 0.711 0.572
0.256 0.266 0.259
0.266 0.010 0.741
0.289 0.386 0.572
0.335 0.928 0.086
0.386 0.097 0.428
0.406 0.335 0.914
0.594 0.665 0.086
0.614 0.903 0.572
0.665 0.072 0.914
0.711 0.614 0.428
0.734 0.990 0.259
0.744 0.734 0.741
0.903 0.289 0.428
0.928 0.594 0.914
0.990 0.256 0.741

---

Entry 2:
Lu2Te5O13 | the Materials Project | meta-GGA r2SCAN | optimized geometry; size of the total moment = 0.00 μB/cell; DFT formation energy = -1918 meV per atom; total DFT energy (no corrections) = -15.962 eV per atom
1.0
6.809 0.000 0.000
2.298 8.299 0.000
0.626 0.190 10.471
Lu Te O
4 10 26
Direct
0.003 0.244 0.241
0.449 0.969 0.819
0.551 0.031 0.181
0.997 0.756 0.759
0.129 0.853 0.103
0.158 0.303 0.639
0.271 0.898 0.484
0.291 0.378 0.973
0.442 0.403 0.300
0.558 0.597 0.700
0.709 0.622 0.027
0.729 0.102 0.516
0.842 0.697 0.361
0.871 0.147 0.897
0.039 0.853 0.567
0.057 0.321 0.041
0.063 0.770 0.278
0.067 0.515 0.696
0.132 0.996 0.903
0.230 0.004 0.184
0.316 0.236 0.288
0.321 0.729 0.778
0.336 0.012 0.618
0.339 0.233 0.771
0.349 0.483 0.122
0.457 0.694 0.520
0.470 0.171 0.002
0.530 0.829 0.998
0.543 0.306 0.480
0.651 0.517 0.878
0.661 0.767 0.229
0.664 0.988 0.382
0.679 0.271 0.222
0.684 0.764 0.712
0.770 0.996 0.816
0.868 0.004 0.097
0.933 0.485 0.304
0.937 0.230 0.722
0.943 0.679 0.959
0.961 0.147 0.433

---

Entry 3:
YbSe | the Materials Project | meta-GGA r2SCAN | optimized geometry; size of the total moment = 0.00 μB/cell; DFT formation energy = -1621 meV per atom; total DFT energy (no corrections) = -27.042 eV per atom
1.0
4.761 0.000 0.000
-2.380 4.123 0.000
0.000 0.000 5.544
Yb Se
2 2
Direct
0.333 0.667 0.250
0.667 0.333 0.750
0.333 0.667 0.750
0.667 0.333 0.250

---

Entry 4:
SbCl4F | the Materials Project | meta-GGA r2SCAN | optimized geometry; size of the total moment = 0.00 μB/cell; DFT formation energy = -1098 meV per atom; total DFT energy (no corrections) = -10.005 eV per atom
1.0
-6.541 6.541 3.981
6.541 -6.541 3.981
6.541 6.541 -3.981
Sb Cl F
4 16 4
Direct
0.556 0.322 0.326
0.678 0.003 0.233
0.770 0.444 0.767
0.997 0.230 0.674
0.054 0.734 0.760
0.093 0.091 0.595
0.166 0.367 0.920
0.228 0.517 0.633
0.266 0.026 0.320
0.406 0.772 0.289
0.446 0.245 0.080
0.483 0.116 0.711
0.495 0.498 0.405
0.502 0.907 0.998
0.633 0.554 0.799
0.706 0.946 0.680
0.755 0.834 0.201
0.884 0.594 0.367
0.909 0.505 0.002
0.974 0.294 0.240
0.634 0.175 0.300
0.666 0.366 0.542
0.825 0.125 0.458
0.875 0.334 0.700

---

Entry 5:
Fe2CuS3 | the Materials Project | meta-GGA r2SCAN | optimized geometry; size of the total moment = 8.39 μB/cell; DFT formation energy = -388 meV per atom; total DFT energy (no corrections) = -11.017 eV per atom
1.0
3.753 0.000 0.000
-1.877 3.250 0.000
0.000 0.000 9.180
Fe Cu S
2 1 3
Direct
0.000 0.000 0.000
0.333 0.667 0.653
0.667 0.333 0.342
0.000 0.000 0.746
0.333 0.667 0.412
0.667 0.333 0.089

---

Entry 6:
Na13Ca7S12Cl3O48 | the Materials Project | meta-GGA r2SCAN | optimized geometry; size of the total moment = 0.00 μB/cell; DFT formation energy = -2194 meV per atom; total DFT energy (no corrections) = -8.184 eV per atom
1.0
9.506 0.000 0.000
4.698 8.281 0.000
0.055 0.007 13.574
Na Ca S Cl O
13 7 12 3 48
Direct
0.000 0.000 0.000
0.000 0.007 0.254
0.003 0.005 0.492
0.068 0.324 0.870
0.078 0.323 0.378
0.322 0.605 0.871
0.343 0.062 0.628
0.582 0.346 0.632
0.604 0.072 0.869
0.661 0.667 0.988
0.664 0.666 0.737
0.672 0.661 0.501
0.676 0.656 0.243
0.069 0.582 0.622
0.072 0.584 0.122
0.325 0.592 0.376
0.341 0.073 0.123
0.585 0.087 0.382
0.585 0.337 0.123
0.995 0.014 0.755
0.301 0.734 0.122
0.306 0.725 0.624
0.361 0.936 0.872
0.372 0.922 0.372
0.700 0.360 0.874
0.700 0.365 0.370
0.735 0.962 0.124
0.748 0.956 0.623
0.932 0.706 0.369
0.935 0.704 0.869
0.968 0.295 0.622
0.968 0.297 0.122
0.332 0.334 0.281
0.333 0.333 0.018
0.337 0.326 0.545
0.013 0.804 0.364
0.021 0.578 0.793
0.056 0.227 0.530
0.063 0.233 0.031
0.083 0.241 0.706
0.083 0.248 0.205
0.183 0.997 0.874
0.197 0.987 0.369
0.223 0.910 0.139
0.226 0.900 0.647
0.235 0.703 0.032
0.238 0.707 0.530
0.256 0.660 0.205
0.262 0.643 0.700
0.399 0.028 0.801
0.415 0.955 0.971
0.422 0.980 0.458
0.430 0.972 0.284
0.446 0.762 0.848
0.457 0.743 0.373
0.478 0.660 0.118
0.482 0.657 0.617
0.569 0.391 0.806
0.582 0.410 0.452
0.603 0.430 0.279
0.631 0.416 0.973
0.663 0.857 0.120
0.665 0.076 0.208
0.680 0.071 0.705
0.688 0.841 0.621
0.699 0.061 0.034
0.717 0.045 0.530
0.755 0.808 0.377
0.760 0.790 0.851
0.785 0.449 0.845
0.798 0.187 0.365
0.800 0.441 0.382
0.818 0.184 0.876
0.855 0.232 0.639
0.865 0.221 0.136
0.868 0.474 0.118
0.879 0.474 0.618
0.912 0.866 0.136
0.929 0.865 0.636
0.966 0.622 0.966
0.967 0.606 0.280
0.994 0.597 0.455
0.999 0.818 0.868

---

Entry 7:
Rb3InO3 | the Materials Project | meta-GGA r2SCAN | optimized geometry; excess energy over the best structure of this formula in the dataset = 0.0 meV per atom; size of the total moment = 0.00 μB/cell; DFT formation energy = -1531 meV per atom; total DFT energy (no corrections) = -13.287 eV per atom
1.0
7.759 0.000 0.000
0.000 7.092 0.000
-0.796 0.000 11.330
Rb In O
12 4 12
Direct
0.056 0.124 0.155
0.056 0.376 0.655
0.360 0.176 0.925
0.360 0.324 0.425
0.368 0.695 0.808
0.368 0.805 0.308
0.632 0.195 0.692
0.632 0.305 0.192
0.640 0.676 0.575
0.640 0.824 0.075
0.944 0.624 0.345
0.944 0.876 0.845
0.161 0.588 0.067
0.161 0.912 0.567
0.839 0.088 0.433
0.839 0.412 0.933
0.105 0.047 0.401
0.105 0.453 0.901
0.253 0.647 0.539
0.253 0.853 0.039
0.306 0.063 0.691
0.306 0.437 0.191
0.694 0.563 0.809
0.694 0.937 0.309
0.747 0.147 0.961
0.747 0.353 0.461
0.895 0.547 0.099
0.895 0.953 0.599

---

Entry 8:
DyPS4 | the Materials Project | meta-GGA r2SCAN | optimized geometry; size of the total moment = 0.00 μB/cell; DFT formation energy = -1211 meV per atom; total DFT energy (no corrections) = -13.398 eV per atom
1.0
-5.354 5.354 9.526
5.354 -5.354 9.526
5.354 5.354 -9.526
Dy P S
8 8 32
Direct
0.125 0.375 0.750
0.125 0.875 0.250
0.375 0.125 0.250
0.375 0.625 0.750
0.625 0.375 0.250
0.625 0.875 0.750
0.875 0.125 0.750
0.875 0.625 0.250
0.212 0.250 0.462
0.250 0.288 0.038
0.250 0.788 0.538
0.288 0.750 0.038
0.712 0.250 0.962
0.750 0.212 0.462
0.750 0.712 0.962
0.788 0.750 0.538
0.085 0.883 0.475
0.091 0.390 0.975
0.095 0.665 0.939
0.110 0.409 0.525
0.117 0.091 0.201
0.157 0.095 0.930
0.165 0.595 0.439
0.227 0.157 0.561
0.273 0.835 0.930
0.335 0.773 0.430
0.343 0.273 0.939
0.383 0.585 0.975
0.390 0.915 0.299
0.405 0.343 0.570
0.409 0.383 0.299
0.415 0.890 0.799
0.585 0.110 0.201
0.591 0.617 0.701
0.595 0.657 0.430
0.610 0.085 0.701
0.617 0.415 0.025
0.657 0.727 0.061
0.665 0.227 0.570
0.727 0.165 0.070
0.773 0.843 0.439
0.835 0.405 0.561
0.843 0.905 0.070
0.883 0.909 0.799
0.890 0.591 0.475
0.905 0.335 0.061
0.909 0.610 0.025
0.915 0.117 0.525

---

Entry 9:
La2TlIn | the Materials Project | meta-GGA r2SCAN | optimized geometry; size of the total moment = 0.00 μB/cell; DFT formation energy = -597 meV per atom; total DFT energy (no corrections) = -34.409 eV per atom
1.0
0.000 3.970 3.970
3.970 0.000 3.970
3.970 3.970 0.000
La Tl In
2 1 1
Direct
0.250 0.250 0.250
0.750 0.750 0.750
0.000 0.000 0.000
0.500 0.500 0.500

---

Entry 10:
HfScRu2 | the Materials Project | meta-GGA r2SCAN | optimized geometry; size of the total moment = 0.00 μB/cell; DFT formation energy = -780 meV per atom; total DFT energy (no corrections) = -27.629 eV per atom
1.0
0.000 3.207 3.207
3.207 0.000 3.207
3.207 3.207 0.000
Hf Sc Ru
1 1 2
Direct
0.000 0.000 0.000
0.500 0.500 0.500
0.250 0.250 0.250
0.750 0.750 0.750

---

Entry 11:
Rb3Na | the Materials Project | meta-GGA r2SCAN | optimized geometry; size of the total moment = 0.00 μB/cell; DFT formation energy = 43 meV per atom; total DFT energy (no corrections) = -11.296 eV per atom
1.0
-3.391 3.391 6.711
3.391 -3.391 6.711
3.391 3.391 -6.711
Rb Na
3 1
Direct
0.000 0.000 0.000
0.250 0.750 0.500
0.750 0.250 0.500
0.500 0.500 0.000

---

Entry 12:
Ga9Rh2 | the Materials Project | meta-GGA r2SCAN | optimized geometry; excess energy over the best structure of this formula in the dataset = 0.0 meV per atom; size of the total moment = 0.00 μB/cell; DFT formation energy = -340 meV per atom; total DFT energy (no corrections) = -14.091 eV per atom
1.0
6.426 0.000 0.000
0.000 6.409 0.000
-0.502 0.000 8.721
Ga Rh
18 4
Direct
0.000 0.060 0.000
0.000 0.940 0.500
0.006 0.253 0.716
0.006 0.747 0.216
0.171 0.336 0.448
0.171 0.664 0.948
0.325 0.066 0.255
0.325 0.934 0.755
0.347 0.274 0.928
0.347 0.726 0.428
0.515 0.469 0.689
0.515 0.531 0.189
0.601 0.125 0.529
0.601 0.875 0.029
0.786 0.439 0.982
0.786 0.561 0.482
0.805 0.248 0.263
0.805 0.752 0.763
0.149 0.385 0.153
0.149 0.615 0.653
0.665 0.121 0.815
0.665 0.879 0.315

---

- The highest size of the total moment belongs to which entry?
  Fe2CuS3

---

- Look up the DFT formation energy of the sixth one.
  -2194 meV per atom

---

- Look up the DFT formation energy of the eleventh one.
  43 meV per atom